Run P
# PBE-GGA Li2CuSnO4, relaxed
data_Li2CuSnO4
_cell_length_a 5.899
_cell_length_b 6.048
_cell_length_c 9.293
_cell_angle_alpha 90.00
_cell_angle_beta 90.00
_cell_angle_gamma 90.00
_symmetry_space_group_name_H-M 'I m m a'
_symmetry_Int_Tables_number 74
_symmetry_space_group_name_Hall '-I 2b 2'
loop_
_atom_site_label
_atom_site_type_symbol
_atom_site_fract_x
_atom_site_fract_y
_atom_site_fract_z
Li1 Li 0.000 0.000 0.000
Li2 Li 0.250 0.250 0.250
Cu1 Cu 0.250 0.250 0.750
Sn1 Sn 0.000 0.000 0.500
O1 O 0.000 0.025 0.726
O2 O 0.244 0.250 0.480
# V   332 Å³ per cell
# Crystal system   orthorhombic
# Spin magnetization   1.00 μB/f.u.

---

Run Q
# PBE-GGA Li2CuSnO4, relaxed
data_Li2CuSnO4
_cell_length_a 4.175
_cell_length_b 4.175
_cell_length_c 9.189
_cell_angle_alpha 90.00
_cell_angle_beta 90.00
_cell_angle_gamma 90.00
_symmetry_space_group_name_H-M 'I -4 m 2'
_symmetry_Int_Tables_number 119
_symmetry_space_group_name_Hall 'I -4 -2'
loop_
_atom_site_label
_atom_site_type_symbol
_atom_site_fract_x
_atom_site_fract_y
_atom_site_fract_z
Li1 Li 0.000 0.000 0.000
Li2 Li 0.000 0.500 0.250
Cu1 Cu 0.000 0.500 0.750
Sn1 Sn 0.000 0.000 0.500
O1 O 0.000 0.000 0.274
O2 O 0.000 0.500 0.501
# V   160 Å³ per cell
# Crystal system   tetragonal
# Spin magnetization   0.38 μB/f.u.

---

The structure shown above that is most stable: run P.